Entry from the Materials Project database: Cs2LiTmCl6 after structural relaxation (GGA-PBE).

Values from the calculation:
**Space-group type**: Fm-3m, No. 225
**DFT total energy**: -40.5 eV/cell
**E_form**: -2.49 eV per atom
**ρ**: 3.7 g/cm3

Structure (extended XYZ):
```
10
Lattice="-6.604 -3.388 0.908 -5.875 3.876 2.525 -5.682 1.592 -4.593" Properties=species:S:1:pos:R:3 pbc="T T T"
Cs -13.620 1.560 -0.870
Cs -4.540 0.520 -0.290
Li -9.080 1.040 -0.580
Tm 0.000 0.000 0.000
Cl -7.829 -1.197 0.172
Cl -7.363 1.319 -2.607
Cl -10.332 3.277 -1.332
Cl -7.461 2.473 0.989
Cl -10.700 -0.393 -2.148
Cl -10.797 0.761 1.448
```